Record 1
Compound: YSbPd2
Source: the Materials Project database
Functional: PBE
Structure: optimized geometry

Values from the calculation:
SG   No. 123
Formation energy from the elements   -691 meV/atom

a = 3.659 Å, b = 3.659 Å, c = 6.210 Å
α = 90.00°, β = 90.00°, γ = 90.00°
Element x y z (fractional)
Sb: 0.000 0.000 0.000
Pd: 0.500 0.500 0.251
Y: 0.000 0.000 0.500
Pd: 0.500 0.500 0.749


Record 2
Compound: Y3Sb4Pd8
Source: the Materials Project database
Functional: PBE
Structure: optimized geometry

Values from the calculation:
SG   No. 225
Formation energy from the elements   -839 meV/atom

a = 9.389 Å, b = 9.389 Å, c = 9.389 Å
α = 60.00°, β = 60.00°, γ = 60.00°
Element x y z (fractional)
Y: 0.724 0.724 0.276
Pd: 0.333 0.000 0.333
Pd: 0.643 0.119 0.119
Sb: 0.000 0.500 0.500
Pd: 0.333 0.333 0.000
Y: 0.276 0.724 0.276
Sb: 0.500 0.000 0.000
Sb: 0.500 0.500 0.000
Sb: 0.500 0.000 0.500
Pd: 0.667 0.000 0.667
Pd: 0.357 0.881 0.881
Pd: 0.881 0.881 0.881
Pd: 0.119 0.119 0.119
Sb: 0.000 0.000 0.000
Y: 0.724 0.276 0.724
Sb: 0.000 0.500 0.000
Pd: 0.667 0.667 0.000
Pd: 0.000 0.667 0.667
Pd: 0.119 0.643 0.119
Pd: 0.881 0.357 0.881
Sb: 0.000 0.000 0.500
Pd: 0.333 0.333 0.333
Sb: 0.500 0.500 0.500
Pd: 0.881 0.881 0.357
Y: 0.724 0.276 0.276
Pd: 0.667 0.667 0.667
Y: 0.276 0.276 0.724
Y: 0.276 0.724 0.724
Pd: 0.119 0.119 0.643
Pd: 0.000 0.333 0.333


Record 3
Compound: ZrSbPd
Source: the Materials Project database
Functional: PBE
Structure: optimized geometry

Values from the calculation:
SG   No. 62
Formation energy from the elements   -748 meV/atom

a = 4.347 Å, b = 6.882 Å, c = 8.045 Å
α = 90.00°, β = 90.00°, γ = 90.00°
Element x y z (fractional)
Pd: 0.750 0.337 0.072
Pd: 0.250 0.163 0.572
Zr: 0.250 0.019 0.194
Sb: 0.750 0.234 0.392
Pd: 0.750 0.837 0.428
Pd: 0.250 0.663 0.928
Sb: 0.250 0.266 0.892
Zr: 0.750 0.481 0.694
Zr: 0.250 0.519 0.306
Sb: 0.750 0.734 0.108
Sb: 0.250 0.766 0.608
Zr: 0.750 0.981 0.806


Record 4
Compound: Zr2Sb3Pd
Source: the Materials Project database
Functional: PBE
Structure: optimized geometry

Values from the calculation:
SG   No. 115
Formation energy from the elements   -601 meV/atom

a = 3.961 Å, b = 3.961 Å, c = 8.739 Å
α = 90.00°, β = 90.00°, γ = 90.00°
Element x y z (fractional)
Pd: 0.500 0.500 0.000
Zr: 0.000 0.500 0.261
Zr: 0.500 0.000 0.739
Sb: 0.500 0.000 0.384
Sb: 0.000 0.500 0.616
Sb: 0.000 0.000 0.000


Record 5
Compound: ScPd
Source: the Materials Project database
Functional: PBE
Structure: optimized geometry

Values from the calculation:
SG   No. 221
Formation energy from the elements   -908 meV/atom

a = 3.319 Å, b = 3.319 Å, c = 3.319 Å
α = 90.00°, β = 90.00°, γ = 90.00°
Element x y z (fractional)
Sc: 0.500 0.500 0.500
Pd: 0.000 0.000 0.000


Record 6
Compound: Sc2Pd
Source: the Materials Project database
Functional: PBE
Structure: optimized geometry

Values from the calculation:
SG   No. 227
Formation energy from the elements   -661 meV/atom

a = 8.843 Å, b = 8.843 Å, c = 8.843 Å
α = 60.00°, β = 60.00°, γ = 60.00°
Element x y z (fractional)
Sc: 0.434 0.066 0.434
Sc: 0.816 0.184 0.184
Pd: 0.840 0.840 0.480
Pd: 0.840 0.480 0.840
Pd: 0.480 0.840 0.840
Sc: 0.434 0.066 0.066
Sc: 0.625 0.625 0.625
Sc: 0.066 0.434 0.066
Pd: 0.410 0.410 0.770
Sc: 0.066 0.434 0.434
Pd: 0.410 0.410 0.410
Sc: 0.184 0.184 0.816
Sc: 0.816 0.816 0.184
Sc: 0.625 0.625 0.125
Pd: 0.840 0.840 0.840
Sc: 0.125 0.625 0.625
Sc: 0.184 0.816 0.184
Pd: 0.410 0.770 0.410
Sc: 0.625 0.125 0.625
Sc: 0.066 0.066 0.434
Sc: 0.434 0.434 0.066
Sc: 0.184 0.816 0.816
Sc: 0.816 0.184 0.816
Pd: 0.770 0.410 0.410


Record 7
Compound: ScSnPd
Source: the Materials Project database
Functional: PBE
Structure: optimized geometry

Values from the calculation:
SG   No. 190
Formation energy from the elements   -851 meV/atom

a = 7.544 Å, b = 7.544 Å, c = 7.247 Å
α = 90.00°, β = 90.00°, γ = 120.00°
Element x y z (fractional)
Sc: 0.386 0.985 0.750
Sc: 0.614 0.599 0.250
Pd: 0.667 0.333 0.968
Sc: 0.985 0.386 0.250
Pd: 0.333 0.667 0.032
Sc: 0.401 0.015 0.250
Sn: 0.000 0.725 0.000
Pd: 0.000 0.000 0.750
Sn: 0.275 0.275 0.000
Sn: 0.275 0.275 0.500
Sn: 0.725 0.000 0.500
Pd: 0.000 0.000 0.250
Pd: 0.333 0.667 0.468
Pd: 0.667 0.333 0.532
Sc: 0.015 0.401 0.750
Sc: 0.599 0.614 0.750
Sn: 0.725 0.000 0.000
Sn: 0.000 0.725 0.500


Record 8
Compound: Sc2TcPd
Source: the Materials Project database
Functional: PBE
Structure: optimized geometry

Values from the calculation:
SG   No. 225
Formation energy from the elements   -549 meV/atom

a = 4.616 Å, b = 4.616 Å, c = 4.616 Å
α = 60.00°, β = 60.00°, γ = 60.00°
Element x y z (fractional)
Tc: 0.000 0.000 0.000
Sc: 0.250 0.250 0.250
Sc: 0.750 0.750 0.750
Pd: 0.500 0.500 0.500


Record 9
Compound: Sc6Te2Pd
Source: the Materials Project database
Functional: PBE
Structure: optimized geometry

Values from the calculation:
SG   No. 62
Formation energy from the elements   -758 meV/atom

a = 3.828 Å, b = 10.759 Å, c = 20.403 Å
α = 90.00°, β = 90.00°, γ = 90.00°
Element x y z (fractional)
Sc: 0.250 0.942 0.363
Sc: 0.750 0.763 0.232
Pd: 0.750 0.635 0.576
Sc: 0.750 0.737 0.732
Sc: 0.750 0.058 0.637
Sc: 0.250 0.558 0.863
Sc: 0.250 0.881 0.974
Sc: 0.250 0.529 0.658
Sc: 0.250 0.112 0.505
Te: 0.750 0.046 0.265
Te: 0.250 0.546 0.235
Sc: 0.750 0.612 0.995
Sc: 0.750 0.029 0.842
Sc: 0.250 0.388 0.005
Sc: 0.250 0.263 0.268
Sc: 0.750 0.310 0.891
Sc: 0.750 0.471 0.342
Te: 0.750 0.454 0.765
Te: 0.750 0.735 0.375
Te: 0.250 0.265 0.625
Pd: 0.250 0.135 0.924
Sc: 0.250 0.237 0.768
Sc: 0.250 0.810 0.609
Te: 0.250 0.235 0.125
Te: 0.250 0.954 0.735
Pd: 0.750 0.865 0.076
Te: 0.750 0.765 0.875
Pd: 0.250 0.365 0.424
Sc: 0.250 0.690 0.109
Sc: 0.250 0.619 0.474
Sc: 0.750 0.119 0.026
Sc: 0.750 0.381 0.526
Sc: 0.750 0.442 0.137
Sc: 0.250 0.971 0.158
Sc: 0.750 0.190 0.391
Sc: 0.750 0.888 0.495


Record 10
Compound: TmScPd2
Source: the Materials Project database
Functional: PBE
Structure: optimized geometry

Values from the calculation:
SG   No. 225
Formation energy from the elements   -913 meV/atom

a = 4.800 Å, b = 4.800 Å, c = 4.800 Å
α = 60.00°, β = 60.00°, γ = 60.00°
Element x y z (fractional)
Tm: 0.000 0.000 0.000
Sc: 0.500 0.500 0.500
Pd: 0.750 0.750 0.750
Pd: 0.250 0.250 0.250


Record 11
Compound: ScZn2Pd
Source: the Materials Project database
Functional: PBE
Structure: optimized geometry

Values from the calculation:
SG   No. 225
Formation energy from the elements   -544 meV/atom

a = 4.490 Å, b = 4.490 Å, c = 4.490 Å
α = 60.00°, β = 60.00°, γ = 60.00°
Element x y z (fractional)
Pd: 0.500 0.500 0.500
Sc: 0.000 0.000 0.000
Zn: 0.750 0.750 0.750
Zn: 0.250 0.250 0.250


Record 12
Compound: ScZnPd2
Source: the Materials Project database
Functional: PBE
Structure: optimized geometry

Values from the calculation:
SG   No. 225
Formation energy from the elements   -789 meV/atom

a = 4.515 Å, b = 4.515 Å, c = 4.515 Å
α = 60.00°, β = 60.00°, γ = 60.00°
Element x y z (fractional)
Zn: 0.000 0.000 0.000
Sc: 0.500 0.500 0.500
Pd: 0.750 0.750 0.750
Pd: 0.250 0.250 0.250


Record 13
Compound: Pd7Se2
Source: the Materials Project database
Functional: PBE
Structure: optimized geometry

Values from the calculation:
SG   No. 14
Formation energy from the elements   -266 meV/atom

a = 5.444 Å, b = 5.624 Å, c = 9.577 Å
α = 86.35°, β = 90.00°, γ = 90.00°
Element x y z (fractional)
Pd: 0.581 0.794 0.927
Pd: 0.500 0.500 0.500
Pd: 0.157 0.427 0.292
Se: 0.772 0.226 0.378
Pd: 0.081 0.206 0.573
Pd: 0.000 0.500 0.000
Pd: 0.657 0.573 0.208
Pd: 0.099 0.967 0.851
Pd: 0.401 0.967 0.351
Pd: 0.419 0.206 0.073
Se: 0.728 0.226 0.878
Se: 0.272 0.774 0.122
Pd: 0.343 0.427 0.792
Pd: 0.919 0.794 0.427
Pd: 0.599 0.033 0.649
Se: 0.228 0.774 0.622
Pd: 0.843 0.573 0.708
Pd: 0.901 0.033 0.149


Record 14
Compound: Pd17Se15
Source: the Materials Project database
Functional: PBE
Structure: optimized geometry

Values from the calculation:
SG   No. 221
Formation energy from the elements   -541 meV/atom

a = 10.788 Å, b = 10.788 Å, c = 10.788 Å
α = 90.00°, β = 90.00°, γ = 90.00°
Element x y z (fractional)
Se: 0.731 0.731 0.500
Se: 0.731 0.269 0.500
Se: 0.269 0.731 0.500
Pd: 0.741 0.500 0.500
Pd: 0.852 0.148 0.650
Pd: 0.500 0.500 0.000
Se: 0.331 0.000 0.669
Pd: 0.148 0.852 0.350
Se: 0.000 0.669 0.669
Se: 0.269 0.500 0.731
Se: 0.331 0.331 0.000
Se: 0.500 0.731 0.731
Se: 0.500 0.269 0.731
Se: 0.669 0.331 0.000
Pd: 0.000 0.000 0.000
Pd: 0.148 0.148 0.350
Pd: 0.500 0.500 0.741
Pd: 0.500 0.259 0.500
Se: 0.500 0.269 0.269
Se: 0.669 0.000 0.669
Pd: 0.852 0.148 0.350
Pd: 0.852 0.350 0.148
Pd: 0.650 0.148 0.852
Pd: 0.650 0.148 0.148
Se: 0.000 0.759 0.000
Pd: 0.650 0.852 0.148
Pd: 0.852 0.650 0.852
Pd: 0.852 0.350 0.852
Pd: 0.259 0.500 0.500
Pd: 0.500 0.500 0.259
Pd: 0.148 0.350 0.852
Se: 0.500 0.731 0.269
Pd: 0.650 0.852 0.852
Se: 0.000 0.000 0.241
Se: 0.000 0.669 0.331
Se: 0.000 0.331 0.669
Pd: 0.148 0.650 0.852
Pd: 0.852 0.852 0.650
Se: 0.331 0.000 0.331
Se: 0.241 0.000 0.000
Se: 0.731 0.500 0.269
Pd: 0.148 0.148 0.650
Se: 0.269 0.500 0.269
Se: 0.269 0.269 0.500
Se: 0.000 0.241 0.000
Pd: 0.350 0.148 0.852
Pd: 0.500 0.741 0.500
Pd: 0.148 0.852 0.650
Pd: 0.350 0.148 0.148
Se: 0.669 0.000 0.331
Pd: 0.148 0.650 0.148
Pd: 0.148 0.350 0.148
Se: 0.000 0.331 0.331
Pd: 0.350 0.852 0.148
Pd: 0.500 0.000 0.500
Pd: 0.350 0.852 0.852
Se: 0.000 0.000 0.759
Pd: 0.000 0.500 0.500
Se: 0.731 0.500 0.731
Se: 0.331 0.669 0.000
Se: 0.669 0.669 0.000
Pd: 0.852 0.852 0.350
Se: 0.759 0.000 0.000
Pd: 0.852 0.650 0.148


Record 15
Compound: Ta2PdSe6
Source: the Materials Project database
Functional: PBE
Structure: optimized geometry

Values from the calculation:
SG   No. 12
Formation energy from the elements   -1008 meV/atom

a = 3.406 Å, b = 7.289 Å, c = 9.742 Å
α = 80.59°, β = 79.93°, γ = 76.49°
Element x y z (fractional)
Se: 0.794 0.278 0.134
Se: 0.331 0.806 0.533
Ta: 0.323 0.064 0.291
Pd: 0.000 0.000 0.000
Se: 0.982 0.802 0.233
Se: 0.669 0.194 0.467
Se: 0.018 0.198 0.767
Ta: 0.677 0.936 0.709
Se: 0.206 0.722 0.866


Record 16
Compound: TePdSe
Source: the Materials Project database
Functional: PBE
Structure: optimized geometry

Values from the calculation:
SG   No. 156
Formation energy from the elements   -466 meV/atom

a = 3.970 Å, b = 3.970 Å, c = 5.109 Å
α = 90.00°, β = 90.00°, γ = 120.00°
Element x y z (fractional)
Se: 0.667 0.333 0.254
Te: 0.000 0.000 0.737
Pd: 0.333 0.667 0.009


Record 17
Compound: Te8Pd5Se2
Source: the Materials Project database
Functional: PBE
Structure: optimized geometry

Values from the calculation:
SG   No. 8
Formation energy from the elements   -349 meV/atom

a = 17.737 Å, b = 17.737 Å, c = 5.126 Å
α = 89.92°, β = 89.92°, γ = 13.16°
Element x y z (fractional)
Pd: 0.205 0.205 0.998
Pd: 0.806 0.806 0.999
Te: 0.739 0.739 0.266
Pd: 0.408 0.408 0.999
Se: 0.474 0.474 0.751
Te: 0.137 0.137 0.258
Te: 0.941 0.941 0.273
Te: 0.272 0.272 0.732
Pd: 0.603 0.603 0.992
Pd: 0.006 0.006 0.993
Se: 0.071 0.071 0.748
Te: 0.341 0.341 0.265
Te: 0.671 0.671 0.727
Te: 0.874 0.874 0.730
Te: 0.538 0.538 0.269


Record 18
Compound: TlPd2Se3
Source: the Materials Project database
Functional: PBE
Structure: optimized geometry

Values from the calculation:
SG   No. 164
Formation energy from the elements   -627 meV/atom

a = 7.524 Å, b = 7.524 Å, c = 6.034 Å
α = 90.00°, β = 90.00°, γ = 120.00°
Element x y z (fractional)
Pd: 0.500 0.500 0.000
Se: 0.830 0.660 0.209
Se: 0.830 0.170 0.209
Pd: 0.000 0.500 0.000
Tl: 0.333 0.667 0.356
Se: 0.660 0.830 0.791
Pd: 0.000 0.000 0.000
Se: 0.170 0.340 0.791
Pd: 0.500 0.000 0.000
Se: 0.340 0.170 0.209
Se: 0.170 0.830 0.791
Tl: 0.667 0.333 0.644